A geometry-optimized Na10Ca2Zr6Si7S5O48 structure. Source: Materials Project, functional PBE-GGA.

Summary:
The raw total energy comes out at -7.1059 eV/atom. Its space group is No. 1.

a b c (Å): 18.4562 9.2429 23.2873
angles (deg): 89.98 89.93 120.03
Element x y z (fractional)
Zr (0.3358, 0.3245, 0.9813)
O (0.9192, 0.3203, 0.5308)
O (0.9909, 0.1664, 0.5846)
O (0.5985, 0.1831, 0.0854)
O (0.6823, 0.4853, 0.3563)
Ca (0.8376, 0.3314, 0.6819)
O (0.3253, 0.1147, 0.1366)
Si (0.5192, 0.3716, 0.9141)
Na (0.6911, 0.3613, 0.2548)
S (0.6420, 0.2892, 0.7499)
O (0.3207, 0.1427, 0.4262)
O (0.4227, 0.5268, 0.0279)
Na (0.1935, 0.0250, 0.7464)
Na (0.3383, 0.3453, 0.3320)
S (0.5017, 0.2896, 0.2513)
O (0.5821, 0.1867, 0.4052)
O (0.0177, 0.2026, 0.1939)
O (0.9400, 0.5423, 0.1370)
Na (0.4908, 0.3757, 0.7545)
S (0.8339, 0.6290, 0.5840)
O (0.2698, 0.8340, 0.4707)
S (0.1419, 0.9954, 0.2503)
O (0.5600, 0.4888, 0.8564)
O (0.2645, 0.6445, 0.8630)
Zr (0.6609, 0.6598, 0.0140)
Na (0.5155, 0.0115, 0.4939)
O (0.5113, 0.2069, 0.2003)
Si (0.8125, 0.6678, 0.9179)
O (0.4020, 0.8105, 0.9091)
S (0.4828, 0.3271, 0.5850)
O (0.6457, 0.4522, 0.7540)
O (0.9979, 0.1783, 0.3052)
Na (0.6885, 0.9950, 0.7479)
Ca (0.6632, 0.6612, 0.5160)
O (0.8402, 0.1601, 0.7515)
O (0.1668, 0.8389, 0.5749)
O (0.8424, 0.5285, 0.2480)
Zr (0.1657, 0.6701, 0.8181)
O (0.9136, 0.0234, 0.0847)
Na (0.5052, 0.0149, 0.0015)
Si (0.1814, 0.0279, 0.5857)
Na (0.0165, 0.6909, 0.5839)
Na (0.3267, 0.3141, 0.8289)
O (0.2309, 0.1578, 0.5303)
Ca (0.3310, 0.3257, 0.6845)
O (0.5883, 0.6939, 0.7544)
Zr (0.1690, 0.6630, 0.3176)
O (0.1839, 0.4915, 0.3622)
O (0.0795, 0.4940, 0.5732)
Si (0.5180, 0.6641, 0.4179)
O (0.0138, 0.8375, 0.4090)
Si (0.0191, 0.3727, 0.9180)
Zr (0.0015, 0.0138, 0.8544)
O (0.0810, 0.7020, 0.7540)
Si (0.6676, 0.3683, 0.4158)
O (0.6726, 0.8712, 0.5810)
Zr (0.6709, 0.6761, 0.8177)
O (0.7509, 0.1418, 0.9278)
O (0.2657, 0.8674, 0.0790)
O (0.0883, 0.9760, 0.1993)
O (0.9960, 0.1782, 0.9092)
Na (0.1630, 0.0219, 0.4200)
O (0.8250, 0.5041, 0.9274)
Si (0.1657, 0.3696, 0.4187)
Na (0.4897, 0.6655, 0.9182)
O (0.8434, 0.1405, 0.0314)
S (0.3365, 0.0377, 0.0848)
O (0.5899, 0.2052, 0.6980)
O (0.7279, 0.1458, 0.5348)
S (0.8140, 0.9649, 0.4166)
O (0.6863, 0.8847, 0.8587)
Si (0.9829, 0.3381, 0.5832)
O (0.7259, 0.1151, 0.6395)
O (0.2608, 0.8186, 0.7556)
O (0.5801, 0.6592, 0.0748)
Na (0.0133, 0.0175, 0.9945)
O (0.5815, 0.4601, 0.2543)
O (0.3398, 0.5191, 0.2522)
O (0.1441, 0.8448, 0.9692)
O (0.7534, 0.6350, 0.8612)
O (0.7637, 0.8830, 0.3633)
O (0.4307, 0.3114, 0.5327)
O (0.1728, 0.4732, 0.0806)
Ca (0.1642, 0.6673, 0.0163)
O (0.4939, 0.1962, 0.3047)
Na (0.4947, 0.6390, 0.2432)
O (0.1826, 0.8790, 0.8568)
O (0.7612, 0.7044, 0.2561)
O (0.9006, 0.9813, 0.6950)
O (0.7617, 0.8641, 0.0757)
Na (0.6743, 0.6812, 0.6650)
O (0.2257, 0.3360, 0.1398)
O (0.4422, 0.3414, 0.6373)
Ca (0.3395, 0.3441, 0.1810)
O (0.4064, 0.8026, 0.3083)
O (0.0611, 0.6394, 0.3556)
O (0.2562, 0.6868, 0.2542)
O (0.4013, 0.9701, 0.6946)
O (0.4906, 0.8191, 0.0829)
Si (0.3135, 0.9588, 0.4162)
O (0.8429, 0.5401, 0.5327)
Na (0.1702, 0.6792, 0.6635)
O (0.1546, 0.4566, 0.4759)
O (0.5969, 0.0198, 0.3040)
O (0.7283, 0.3546, 0.1379)
O (0.2506, 0.1557, 0.9240)
O (0.3991, 0.8171, 0.1947)
O (0.6444, 0.4448, 0.4691)
O (0.4074, 0.9895, 0.4093)
Zr (0.1639, 0.6699, 0.5136)
O (0.9292, 0.5390, 0.7492)
O (0.4523, 0.5437, 0.1446)
O (0.4121, 0.8052, 0.5855)
O (0.9198, 0.3078, 0.2485)
O (0.5736, 0.7025, 0.4730)
O (0.4881, 0.1692, 0.5871)
Na (0.8473, 0.0213, 0.9135)
S (0.3354, 0.6349, 0.5820)
O (0.0655, 0.6578, 0.0817)
Si (0.3524, 0.9929, 0.7517)
O (0.4962, 0.8150, 0.4091)
O (0.7562, 0.8252, 0.7533)
O (0.0785, 0.6982, 0.4694)
O (0.0829, 0.9797, 0.9047)
O (0.1482, 0.4809, 0.7567)
O (0.3428, 0.1420, 0.0327)
O (0.3463, 0.5509, 0.5308)
O (0.3252, 0.5129, 0.9195)
Na (0.9965, 0.0045, 0.5005)
O (0.2594, 0.6498, 0.5759)
Zr (0.4994, 0.0039, 0.8547)
O (0.4173, 0.0365, 0.0868)
O (0.9072, 0.8267, 0.9100)
O (0.1459, 0.8394, 0.2533)
Na (0.8307, 0.3380, 0.3302)
O (0.6488, 0.8326, 0.9692)
O (0.9246, 0.3590, 0.9245)
O (0.7372, 0.1539, 0.2473)
O (0.6491, 0.8182, 0.2561)
S (0.8337, 0.0326, 0.0819)
Si (0.0176, 0.6641, 0.4134)
O (0.2293, 0.3103, 0.0352)
Si (0.0040, 0.2966, 0.2512)
Zr (0.9981, 0.0186, 0.6464)
Na (0.1483, 0.3269, 0.5790)
O (0.7307, 0.3136, 0.0347)
O (0.7696, 0.7059, 0.9722)
Ca (0.8324, 0.3316, 0.1847)
O (0.2526, 0.3585, 0.4250)
Zr (0.6653, 0.6618, 0.3178)
O (0.8247, 0.1062, 0.1357)
Na (0.1760, 0.6714, 0.1647)
S (0.6823, 0.0380, 0.5847)
O (0.9935, 0.7929, 0.8030)
Zr (0.9958, 0.9986, 0.3545)
O (0.0885, 0.1788, 0.4109)
O (0.8234, 0.5314, 0.6365)
O (0.2501, 0.8751, 0.3614)
O (0.9015, 0.8351, 0.1949)
Si (0.6446, 0.9920, 0.2501)
Na (0.8159, 0.0116, 0.2494)
Na (0.1893, 0.3805, 0.2470)
O (0.5808, 0.9732, 0.9114)
O (0.9876, 0.8060, 0.0868)
O (0.4983, 0.8123, 0.8090)
Zr (0.9951, 0.0047, 0.1484)
O (0.5669, 0.4726, 0.5815)
Si (0.3498, 0.7060, 0.2525)
O (0.7650, 0.6617, 0.5782)
Zr (0.3302, 0.3234, 0.4802)
O (0.2793, 0.6902, 0.9668)
O (0.4246, 0.4894, 0.4234)
O (0.8220, 0.1332, 0.4198)
O (0.5618, 0.6322, 0.3595)
S (0.1826, 0.3262, 0.0849)
O (0.9295, 0.5483, 0.0326)
O (0.4281, 0.3638, 0.9239)
O (0.0976, 0.1673, 0.0859)
Zr (0.8357, 0.3397, 0.4782)
Zr (0.4959, 0.9883, 0.6494)
O (0.5970, 0.0260, 0.5863)
O (0.7253, 0.3045, 0.7454)
Si (0.6653, 0.9606, 0.9170)
Zr (0.5026, 0.9906, 0.3542)
O (0.5074, 0.1852, 0.9097)
O (0.3450, 0.1590, 0.7509)
O (0.0935, 0.1715, 0.8018)
Si (0.8500, 0.9927, 0.7521)
Si (0.4852, 0.6316, 0.0829)
Si (0.8522, 0.7117, 0.2513)
O (0.4198, 0.5325, 0.7490)
Na (0.3487, 0.6690, 0.4124)
S (0.0011, 0.7117, 0.7514)
Na (0.3175, 0.6201, 0.7504)
O (0.5173, 0.8367, 0.6965)
Na (0.4967, 0.3138, 0.4217)
S (0.3149, 0.6640, 0.9166)
O (0.4131, 0.0103, 0.8054)
O (0.9001, 0.9888, 0.4094)
Na (0.9948, 0.3498, 0.7452)
O (0.2381, 0.3256, 0.7491)
O (0.5849, 0.9672, 0.1936)
Si (0.5040, 0.7118, 0.7531)
O (0.0861, 0.0076, 0.5873)
O (0.4300, 0.3189, 0.2489)
O (0.0610, 0.4922, 0.8595)
O (0.7493, 0.3434, 0.4236)
O (0.9056, 0.0098, 0.8084)
O (0.6018, 0.1861, 0.8017)
Na (0.9964, 0.6825, 0.9223)
Na (0.8313, 0.3307, 0.8319)
O (0.0881, 0.4826, 0.2544)
O (0.9554, 0.3834, 0.6435)
Si (0.1681, 0.9681, 0.9159)
O (0.0099, 0.8091, 0.6983)
S (0.6833, 0.3340, 0.0836)
Zr (0.4952, 0.9696, 0.1462)
O (0.2250, 0.1463, 0.2453)
O (0.9252, 0.5002, 0.4238)
O (0.5789, 0.4648, 0.9691)
O (0.2287, 0.0997, 0.6452)
O (0.0743, 0.4468, 0.9731)
O (0.7783, 0.8665, 0.4676)
O (0.6765, 0.4856, 0.0749)
O (0.0890, 0.2118, 0.6907)
Zr (0.8317, 0.3371, 0.9775)
O (0.1030, 0.0163, 0.3036)
O (0.9167, 0.7910, 0.5868)
O (0.9134, 0.8095, 0.3058)
Si (0.1451, 0.2996, 0.7500)
Na (0.9909, 0.6098, 0.2549)
Na (0.6595, 0.6725, 0.1621)
O (0.3248, 0.5397, 0.6350)
S (0.9815, 0.6369, 0.0848)